# 1
DFT (r2SCAN) results for an optimized crystal structure of EuSO4.

Computed properties:
E_form: -2.380 eV/atom
energy: -14.12 eV per atom
SG: Pnma, No. 62

```
data_EuSO4
_chemical_formula_sum 'Eu4 S4 O16'
_cell_length_a 8.341
_cell_length_b 5.341
_cell_length_c 6.866
_cell_angle_alpha 90.00
_cell_angle_beta 90.00
_cell_angle_gamma 90.00
_symmetry_space_group_name_H-M 'P 1'
_symmetry_Int_Tables_number 1
loop_
_symmetry_equiv_pos_as_xyz
'x,y,z'
loop_
_atom_site_label
_atom_site_type_symbol
_atom_site_fract_x
_atom_site_fract_y
_atom_site_fract_z
Eu1 Eu 0.184 0.250 0.157
Eu2 Eu 0.316 0.750 0.657
Eu3 Eu 0.684 0.250 0.343
Eu4 Eu 0.816 0.750 0.843
S1 S 0.063 0.250 0.684
S2 S 0.437 0.750 0.184
S3 S 0.563 0.250 0.816
S4 S 0.937 0.750 0.316
O1 O 0.078 0.025 0.811
O2 O 0.078 0.475 0.811
O3 O 0.094 0.750 0.409
O4 O 0.195 0.250 0.542
O5 O 0.305 0.750 0.042
O6 O 0.406 0.250 0.909
O7 O 0.422 0.525 0.311
O8 O 0.422 0.975 0.311
O9 O 0.578 0.025 0.689
O10 O 0.578 0.475 0.689
O11 O 0.594 0.750 0.091
O12 O 0.695 0.250 0.958
O13 O 0.805 0.750 0.458
O14 O 0.906 0.250 0.591
O15 O 0.922 0.525 0.189
O16 O 0.922 0.975 0.189
```


# 2
DFT (r2SCAN) results for an optimized crystal structure of Eu2SO2.

Computed properties:
E_form: -2.754 eV/atom
energy: -22.16 eV per atom
SG: P-3m1, No. 164

```
data_Eu2SO2
_chemical_formula_sum 'Eu2 S1 O2'
_cell_length_a 3.905
_cell_length_b 3.905
_cell_length_c 6.749
_cell_angle_alpha 90.00
_cell_angle_beta 90.00
_cell_angle_gamma 120.00
_symmetry_space_group_name_H-M 'P 1'
_symmetry_Int_Tables_number 1
loop_
_symmetry_equiv_pos_as_xyz
'x,y,z'
loop_
_atom_site_label
_atom_site_type_symbol
_atom_site_fract_x
_atom_site_fract_y
_atom_site_fract_z
Eu1 Eu 0.333 0.667 0.282
Eu2 Eu 0.667 0.333 0.718
S1 S 0.000 0.000 0.000
O1 O 0.333 0.667 0.630
O2 O 0.667 0.333 0.370
```


# 3
DFT (r2SCAN) results for an optimized crystal structure of Eu4Sb2O.

Computed properties:
E_form: -1.806 eV/atom
energy: -32.02 eV per atom
SG: I4/mmm, No. 139

```
data_Eu4Sb2O
_chemical_formula_sum 'Eu8 Sb4 O2'
_cell_length_a 4.884
_cell_length_b 4.884
_cell_length_c 16.964
_cell_angle_alpha 90.00
_cell_angle_beta 90.00
_cell_angle_gamma 90.00
_symmetry_space_group_name_H-M 'P 1'
_symmetry_Int_Tables_number 1
loop_
_symmetry_equiv_pos_as_xyz
'x,y,z'
loop_
_atom_site_label
_atom_site_type_symbol
_atom_site_fract_x
_atom_site_fract_y
_atom_site_fract_z
Eu1 Eu 0.000 0.000 0.168
Eu2 Eu 0.000 0.000 0.832
Eu3 Eu 0.000 0.500 0.000
Eu4 Eu 0.000 0.500 0.500
Eu5 Eu 0.500 0.000 0.000
Eu6 Eu 0.500 0.000 0.500
Eu7 Eu 0.500 0.500 0.332
Eu8 Eu 0.500 0.500 0.668
Sb1 Sb 0.000 0.000 0.362
Sb2 Sb 0.000 0.000 0.638
Sb3 Sb 0.500 0.500 0.138
Sb4 Sb 0.500 0.500 0.862
O1 O 0.000 0.000 0.000
O2 O 0.500 0.500 0.500
```


# 4
DFT (r2SCAN) results for an optimized crystal structure of Eu3SbO7.

Computed properties:
E_form: -2.732 eV/atom
energy: -19.38 eV per atom
SG: C222_1, No. 20

```
data_Eu3SbO7
_chemical_formula_sum 'Eu6 Sb2 O14'
_cell_length_a 6.543
_cell_length_b 6.543
_cell_length_c 7.645
_cell_angle_alpha 90.00
_cell_angle_beta 90.00
_cell_angle_gamma 110.45
_symmetry_space_group_name_H-M 'P 1'
_symmetry_Int_Tables_number 1
loop_
_symmetry_equiv_pos_as_xyz
'x,y,z'
loop_
_atom_site_label
_atom_site_type_symbol
_atom_site_fract_x
_atom_site_fract_y
_atom_site_fract_z
Eu1 Eu 0.000 0.000 0.000
Eu2 Eu 0.000 0.000 0.500
Eu3 Eu 0.029 0.498 0.751
Eu4 Eu 0.498 0.029 0.249
Eu5 Eu 0.502 0.971 0.749
Eu6 Eu 0.971 0.502 0.251
Sb1 Sb 0.500 0.500 0.000
Sb2 Sb 0.500 0.500 0.500
O1 O 0.128 0.872 0.250
O2 O 0.136 0.864 0.750
O3 O 0.182 0.428 0.473
O4 O 0.183 0.429 0.029
O5 O 0.428 0.182 0.527
O6 O 0.429 0.183 0.971
O7 O 0.439 0.561 0.750
O8 O 0.561 0.439 0.250
O9 O 0.571 0.817 0.471
O10 O 0.572 0.818 0.027
O11 O 0.817 0.571 0.529
O12 O 0.818 0.572 0.973
O13 O 0.864 0.136 0.250
O14 O 0.872 0.128 0.750
```


# 5
DFT (r2SCAN) results for an optimized crystal structure of EuSeO3.

Computed properties:
E_form: -2.014 eV/atom
energy: -16.16 eV per atom
SG: P2_1/m, No. 11

```
data_EuSeO3
_chemical_formula_sum 'Eu2 Se2 O6'
_cell_length_a 4.432
_cell_length_b 5.424
_cell_length_c 6.450
_cell_angle_alpha 90.00
_cell_angle_beta 106.73
_cell_angle_gamma 90.00
_symmetry_space_group_name_H-M 'P 1'
_symmetry_Int_Tables_number 1
loop_
_symmetry_equiv_pos_as_xyz
'x,y,z'
loop_
_atom_site_label
_atom_site_type_symbol
_atom_site_fract_x
_atom_site_fract_y
_atom_site_fract_z
Eu1 Eu 0.160 0.250 0.300
Eu2 Eu 0.840 0.750 0.700
Se1 Se 0.432 0.250 0.847
Se2 Se 0.568 0.750 0.153
O1 O 0.169 0.750 0.112
O2 O 0.318 0.010 0.668
O3 O 0.318 0.490 0.668
O4 O 0.682 0.510 0.332
O5 O 0.682 0.990 0.332
O6 O 0.831 0.250 0.888
```


# 6
DFT (r2SCAN) results for an optimized crystal structure of Eu2Sn2O7.

Computed properties:
E_form: -2.521 eV/atom
energy: -17.82 eV per atom
SG: Fd-3m, No. 227

```
data_Eu2Sn2O7
_chemical_formula_sum 'Eu4 Sn4 O14'
_cell_length_a 7.446
_cell_length_b 7.446
_cell_length_c 7.446
_cell_angle_alpha 60.00
_cell_angle_beta 60.00
_cell_angle_gamma 60.00
_symmetry_space_group_name_H-M 'P 1'
_symmetry_Int_Tables_number 1
loop_
_symmetry_equiv_pos_as_xyz
'x,y,z'
loop_
_atom_site_label
_atom_site_type_symbol
_atom_site_fract_x
_atom_site_fract_y
_atom_site_fract_z
Eu1 Eu 0.000 0.000 0.000
Eu2 Eu 0.000 0.000 0.500
Eu3 Eu 0.000 0.500 0.000
Eu4 Eu 0.500 0.000 0.000
Sn1 Sn 0.000 0.500 0.500
Sn2 Sn 0.500 0.000 0.500
Sn3 Sn 0.500 0.500 0.000
Sn4 Sn 0.500 0.500 0.500
O1 O 0.125 0.125 0.125
O2 O 0.166 0.166 0.584
O3 O 0.166 0.584 0.166
O4 O 0.166 0.584 0.584
O5 O 0.416 0.416 0.834
O6 O 0.416 0.834 0.416
O7 O 0.416 0.834 0.834
O8 O 0.584 0.166 0.166
O9 O 0.584 0.166 0.584
O10 O 0.584 0.584 0.166
O11 O 0.834 0.416 0.416
O12 O 0.834 0.416 0.834
O13 O 0.834 0.834 0.416
O14 O 0.875 0.875 0.875
```


# 7
DFT (r2SCAN) results for an optimized crystal structure of SrEuO2.

Computed properties:
E_form: -2.995 eV/atom
energy: -19.40 eV per atom
SG: R-3m, No. 166

```
data_SrEuO2
_chemical_formula_sum 'Sr3 Eu3 O6'
_cell_length_a 3.615
_cell_length_b 3.615
_cell_length_c 17.771
_cell_angle_alpha 90.00
_cell_angle_beta 90.00
_cell_angle_gamma 120.00
_symmetry_space_group_name_H-M 'P 1'
_symmetry_Int_Tables_number 1
loop_
_symmetry_equiv_pos_as_xyz
'x,y,z'
loop_
_atom_site_label
_atom_site_type_symbol
_atom_site_fract_x
_atom_site_fract_y
_atom_site_fract_z
Sr1 Sr 0.000 0.000 0.000
Sr2 Sr 0.333 0.667 0.667
Sr3 Sr 0.667 0.333 0.333
Eu1 Eu 0.000 0.000 0.500
Eu2 Eu 0.333 0.667 0.167
Eu3 Eu 0.667 0.333 0.833
O1 O 0.000 0.000 0.248
O2 O 0.000 0.000 0.752
O3 O 0.333 0.667 0.418
O4 O 0.333 0.667 0.915
O5 O 0.667 0.333 0.085
O6 O 0.667 0.333 0.582
```


# 8
DFT (r2SCAN) results for an optimized crystal structure of EuTaO4.

Computed properties:
E_form: -3.210 eV/atom
energy: -21.71 eV per atom
SG: P2/c, No. 13

```
data_EuTaO4
_chemical_formula_sum 'Eu2 Ta2 O8'
_cell_length_a 5.208
_cell_length_b 5.510
_cell_length_c 5.372
_cell_angle_alpha 90.00
_cell_angle_beta 96.47
_cell_angle_gamma 90.00
_symmetry_space_group_name_H-M 'P 1'
_symmetry_Int_Tables_number 1
loop_
_symmetry_equiv_pos_as_xyz
'x,y,z'
loop_
_atom_site_label
_atom_site_type_symbol
_atom_site_fract_x
_atom_site_fract_y
_atom_site_fract_z
Eu1 Eu 0.000 0.236 0.250
Eu2 Eu 0.000 0.764 0.750
Ta1 Ta 0.500 0.307 0.750
Ta2 Ta 0.500 0.693 0.250
O1 O 0.257 0.084 0.603
O2 O 0.257 0.916 0.103
O3 O 0.272 0.440 0.991
O4 O 0.272 0.560 0.491
O5 O 0.728 0.440 0.509
O6 O 0.728 0.560 0.009
O7 O 0.743 0.084 0.897
O8 O 0.743 0.916 0.397
```


# 9
DFT (r2SCAN) results for an optimized crystal structure of EuTaO4.

Computed properties:
E_form: -3.208 eV/atom
energy: -21.71 eV per atom
SG: C2/c, No. 15

```
data_EuTaO4
_chemical_formula_sum 'Eu2 Ta2 O8'
_cell_length_a 6.578
_cell_length_b 6.578
_cell_length_c 5.115
_cell_angle_alpha 110.39
_cell_angle_beta 110.39
_cell_angle_gamma 114.72
_symmetry_space_group_name_H-M 'P 1'
_symmetry_Int_Tables_number 1
loop_
_symmetry_equiv_pos_as_xyz
'x,y,z'
loop_
_atom_site_label
_atom_site_type_symbol
_atom_site_fract_x
_atom_site_fract_y
_atom_site_fract_z
Eu1 Eu 0.131 0.869 0.750
Eu2 Eu 0.869 0.131 0.250
Ta1 Ta 0.399 0.601 0.250
Ta2 Ta 0.601 0.399 0.750
O1 O 0.135 0.555 0.335
O2 O 0.233 0.294 0.794
O3 O 0.294 0.233 0.294
O4 O 0.445 0.865 0.165
O5 O 0.555 0.135 0.835
O6 O 0.706 0.767 0.706
O7 O 0.767 0.706 0.206
O8 O 0.865 0.445 0.665
```


# 10
DFT (r2SCAN) results for an optimized crystal structure of Eu2Ti2O7.

Computed properties:
E_form: -3.301 eV/atom
energy: -16.46 eV per atom
SG: Fd-3m, No. 227

```
data_Eu2Ti2O7
_chemical_formula_sum 'Eu4 Ti4 O14'
_cell_length_a 7.230
_cell_length_b 7.230
_cell_length_c 7.230
_cell_angle_alpha 60.00
_cell_angle_beta 60.00
_cell_angle_gamma 60.00
_symmetry_space_group_name_H-M 'P 1'
_symmetry_Int_Tables_number 1
loop_
_symmetry_equiv_pos_as_xyz
'x,y,z'
loop_
_atom_site_label
_atom_site_type_symbol
_atom_site_fract_x
_atom_site_fract_y
_atom_site_fract_z
Eu1 Eu 0.000 0.000 0.000
Eu2 Eu 0.000 0.000 0.500
Eu3 Eu 0.000 0.500 0.000
Eu4 Eu 0.500 0.000 0.000
Ti1 Ti 0.000 0.500 0.500
Ti2 Ti 0.500 0.000 0.500
Ti3 Ti 0.500 0.500 0.000
Ti4 Ti 0.500 0.500 0.500
O1 O 0.125 0.125 0.125
O2 O 0.174 0.174 0.576
O3 O 0.174 0.576 0.174
O4 O 0.174 0.576 0.576
O5 O 0.424 0.424 0.826
O6 O 0.424 0.826 0.424
O7 O 0.424 0.826 0.826
O8 O 0.576 0.174 0.174
O9 O 0.576 0.174 0.576
O10 O 0.576 0.576 0.174
O11 O 0.826 0.424 0.424
O12 O 0.826 0.424 0.826
O13 O 0.826 0.826 0.424
O14 O 0.875 0.875 0.875
```